(1)
Material: Na3TiGaSi2SO12
Method: DFT, PBE-GGA
State: relaxed

Unit cell a=8.9155 b=8.9155 c=22.0722 alpha=90.22 beta=89.78 gamma=120.30
Closest atoms and distances in Å follow each position.
Positions (direct):
Si1 0.0441 0.3689 0.9183  4 O 1.62-1.67
O1 0.8728 0.5011 0.1437  1 Si 1.62
S1 0.3743 0.3293 0.0830  4 O 1.48-1.49
Na1 0.6545 0.3317 0.3308  6 O 2.40-2.68
O2 0.5310 0.8426 0.7563  1 S 1.48
Si2 0.2922 0.0049 0.2517  4 O 1.62-1.68
O3 0.4989 0.1272 0.6437  1 Si 1.62
O4 0.9698 0.7952 0.8125  1 Si 1.62
Si3 0.9589 0.3382 0.5851  4 O 1.62-1.68
Si4 0.9644 0.6225 0.0850  4 O 1.62-1.67
O5 0.3004 0.8212 0.2562  1 Si 1.68
O6 0.5211 0.6949 0.2556  1 Si 1.66
O7 0.3638 0.8811 0.8609  1 S 1.48
O8 0.1536 0.6971 0.4702  1 S 1.49
Ti1 0.6907 0.3428 0.9799  4 O 1.84-2.05
O9 0.1878 0.0282 0.5890  1 Si 1.66
O10 0.8241 0.8023 0.5897  1 S 1.48
O11 0.1977 0.1759 0.0897  1 S 1.48
Na2 0.6956 0.6674 0.4152  5 O 2.34-2.59
O12 0.7856 0.9695 0.6943  1 S 1.48
Na3 0.6683 0.3455 0.8308  6 O 2.40-2.68
O13 0.1563 0.5008 0.5780  1 Si 1.63
O14 0.8643 0.5093 0.4230  1 S 1.48
O15 0.3625 0.5086 0.3605  1 Si 1.67, 1 Ti 1.84
O16 0.1682 0.2042 0.6914  1 Si 1.67, 1 Ti 1.84
Si5 0.7108 0.7022 0.2516  4 O 1.62-1.67
O17 0.5381 0.6969 0.9792  1 Si 1.62
O18 0.0305 0.2144 0.1943  1 S 1.48
O19 0.1788 0.6996 0.7562  1 Si 1.68
O20 0.6972 0.5477 0.5276  1 S 1.48
Si6 0.6255 0.6715 0.9184  4 O 1.62-1.68
S2 0.6707 0.6258 0.5830  4 O 1.48-1.49
Ga1 0.3379 0.6759 0.0175  5 O 1.90-2.00
O21 0.3031 0.4619 0.4792  1 Si 1.62
O22 0.6363 0.5130 0.6369  1 S 1.49
Na4 0.9970 0.3699 0.7459  5 O 2.36-2.55
Si7 0.6618 0.0411 0.0851  4 O 1.62-1.68
O23 0.6385 0.1455 0.4223  1 Si 1.66
O24 0.4914 0.6375 0.8605  1 Si 1.67, 1 Ti 1.84
Ga2 0.6713 0.3426 0.6842  5 O 1.90-2.00
O25 0.6959 0.1752 0.0271  1 Si 1.67, 1 Ti 1.84
O26 0.3638 0.8489 0.5757  1 Si 1.62
Na5 0.2967 0.3363 0.5793  5 O 2.36-2.55
O27 0.0232 0.8197 0.4130  1 S 1.49
Si8 0.6311 0.9559 0.4183  4 O 1.62-1.67
O28 0.1291 0.4985 0.8581  1 Si 1.67, 1 Ti 1.84
Na6 0.0016 0.0122 0.4975  6 O 2.40-2.68
Ti2 0.3573 0.6761 0.3133  4 O 1.84-2.05
Na7 0.6637 0.7033 0.0793  5 O 2.36-2.55
S3 0.0409 0.6627 0.4164  4 O 1.48-1.49
O29 0.0304 0.1822 0.9090  1 Si 1.62
O30 0.8230 0.8342 0.9114  1 Si 1.63
O31 0.1581 0.9708 0.1938  1 Si 1.67, 1 Ti 1.84
O32 0.9718 0.8122 0.0890  1 Si 1.66
O33 0.5121 0.3663 0.4229  1 Si 1.68
S4 0.0040 0.2924 0.2497  4 O 1.48-1.49
O34 0.8715 0.3635 0.6458  1 Si 1.62
O35 0.0292 0.8419 0.6938  1 Si 1.67, 1 Ti 1.84
O36 0.1574 0.4690 0.2563  1 S 1.48
O37 0.3029 0.8464 0.9702  1 S 1.49
Si9 0.3775 0.0356 0.5850  4 O 1.62-1.67
Na8 0.9878 0.9984 0.9975  6 O 2.40-2.68
O38 0.1511 0.6362 0.0757  1 Si 1.62
O39 0.8203 0.0304 0.8036  1 S 1.49
Ga3 0.0046 0.0092 0.3509  5 O 1.90-2.00
O40 0.9696 0.1797 0.3036  1 S 1.49
O41 0.9670 0.1545 0.5896  1 Si 1.68
O42 0.5395 0.8345 0.4771  1 Si 1.62
O43 0.6971 0.5156 0.2423  1 Si 1.62
O44 0.8325 0.5103 0.7447  1 Si 1.63
Si10 0.2978 0.2892 0.7516  4 O 1.62-1.67
Na9 0.3212 0.6651 0.6642  6 O 2.40-2.68
O45 0.4870 0.3637 0.1369  1 S 1.49
Na10 0.6301 0.0030 0.2459  5 O 2.36-2.55
O46 0.4523 0.3028 0.0276  1 S 1.48
Ti3 0.6572 0.3093 0.4799  4 O 1.84-2.05
O47 0.8455 0.0330 0.0896  1 Si 1.68
O48 0.4992 0.8437 0.0780  1 Si 1.63
Na11 0.9993 0.6377 0.2485  5 O 2.34-2.59
Na12 0.3349 0.6788 0.1642  6 O 2.40-2.68
O49 0.3051 0.4789 0.7556  1 Si 1.66
O50 0.6898 0.1530 0.7463  1 S 1.49
O51 0.1658 0.1770 0.4114  1 Si 1.63
O52 0.6337 0.4879 0.9229  1 Si 1.68
Na13 0.9634 0.6696 0.9126  5 O 2.36-2.55
Na14 0.3326 0.3044 0.9152  5 O 2.34-2.59
S5 0.3373 0.9591 0.9164  4 O 1.48-1.49
O53 0.4625 0.1652 0.5247  1 Si 1.67, 1 Ti 1.84
O54 0.1655 0.4605 0.9771  1 Si 1.62
Si11 0.9951 0.7078 0.7517  4 O 1.62-1.68
O55 0.8348 0.5375 0.0247  1 Si 1.67, 1 Ti 1.84
Ga4 0.3241 0.6621 0.5175  5 O 1.90-2.00
O56 0.6365 0.1285 0.1458  1 Si 1.62
O57 0.8545 0.3615 0.9223  1 Si 1.66
Ga5 0.6574 0.3287 0.1842  5 O 1.90-2.00
O58 0.8322 0.7938 0.3104  1 Si 1.62
Ti4 0.3239 0.6427 0.8133  4 O 1.84-2.05
O59 0.4844 0.3029 0.7423  1 Si 1.62
O60 0.7958 0.8318 0.1914  1 Si 1.67, 1 Ti 1.84
O61 0.2062 0.1678 0.8104  1 Si 1.62
O62 0.4897 0.1675 0.2447  1 Si 1.63
Na15 0.0289 0.3340 0.0818  5 O 2.34-2.59
O63 0.2048 0.0302 0.3125  1 Si 1.62
Ti5 0.9906 0.9760 0.1466  4 O 1.84-2.05
O64 0.1189 0.6362 0.3609  1 S 1.48
O65 0.3565 0.4863 0.0797  1 S 1.49
O66 0.8248 0.3041 0.5271  1 Si 1.67, 1 Ti 1.84
O67 0.5015 0.8709 0.3581  1 Si 1.67, 1 Ti 1.84
O68 0.4907 0.1357 0.9230  1 S 1.48
S6 0.7076 0.9960 0.7497  4 O 1.48-1.49
Ti6 0.0240 0.0094 0.6466  4 O 1.84-2.05
O69 0.1803 0.9768 0.9130  1 S 1.49
Si12 0.3285 0.3745 0.4184  4 O 1.62-1.68
Na16 0.3304 0.0366 0.4126  5 O 2.36-2.55
Na17 0.6660 0.9711 0.5818  5 O 2.34-2.59
O70 0.8178 0.9696 0.4090  1 Si 1.62
Na18 0.3623 0.0007 0.7485  5 O 2.34-2.59
O71 0.5137 0.6435 0.5797  1 S 1.49
Ga6 0.9908 0.9954 0.8509  5 O 1.90-2.00
O72 0.8470 0.3102 0.2463  1 S 1.49

Output
Formation energy, eV per atom: -2.64
ρ, g/cm³: 3.1

---

(2)
Material: BaZnSn2
Method: DFT, PBE-GGA
State: relaxed

Unit cell a=10.0332 b=10.0332 c=4.8194 alpha=90.00 beta=90.00 gamma=148.03
Closest atoms and distances in Å follow each position.
Positions (direct):
Ba1 0.1040 0.8960 0.7500  8 Sn 3.62-4.03, 6 Zn 3.63-4.02
Ba2 0.8960 0.1040 0.2500  8 Sn 3.62-4.03, 6 Zn 3.63-4.02
Zn1 0.4817 0.5183 0.7500  2 Zn 2.51, 1 Sn 2.78
Zn2 0.5183 0.4817 0.2500  2 Zn 2.51, 1 Sn 2.78
Sn1 0.2440 0.7560 0.2500  4 Sn 3.01-3.18
Sn2 0.3376 0.6624 0.7500  1 Zn 2.78, 2 Sn 3.01
Sn3 0.6624 0.3376 0.2500  1 Zn 2.78, 2 Sn 3.01
Sn4 0.7560 0.2440 0.7500  4 Sn 3.01-3.18

Output
SG: Cmcm, No. 63
Formation energy, eV per atom: -0.30
ρ, g/cm³: 5.7

---

(3)
Material: U3O8
Method: DFT, PBE-GGA
State: relaxed

Unit cell a=6.4711 b=6.4711 c=4.1754 alpha=90.00 beta=90.00 gamma=120.00
Closest atoms and distances in Å follow each position.
Positions (direct):
U1 0.0000 0.0000 0.0000  6 O 2.17
U2 0.3333 0.6667 0.0000  8 O 2.09-2.30
U3 0.6667 0.3333 0.0000  8 O 2.09-2.30
O1 0.0000 0.3188 0.1585  3 U 2.17-2.30
O2 0.0000 0.6812 0.8415  3 U 2.17-2.30
O3 0.3188 0.0000 0.1585  3 U 2.17-2.30
O4 0.3188 0.3188 0.8415  3 U 2.17-2.30
O5 0.3333 0.6667 0.5000  2 U 2.09
O6 0.6667 0.3333 0.5000  2 U 2.09
O7 0.6812 0.0000 0.8415  3 U 2.17-2.30
O8 0.6812 0.6812 0.1585  3 U 2.17-2.30

Output
SG: P-31m, No. 162
Formation energy, eV per atom: -3.46
ρ, g/cm³: 9.2

---

(4)
Material: BaSrYCu4O8
Method: DFT, PBE-GGA
State: relaxed

Unit cell a=3.8403 b=13.7632 c=13.7632 alpha=16.27 beta=90.00 gamma=90.00
Closest atoms and distances in Å follow each position.
Positions (direct):
Ba1 0.0000 0.0000 0.0000  10 O 2.74-3.03
Sr1 0.0000 0.2711 0.2711  10 O 2.74-2.95
Y1 0.0000 0.1373 0.1373  8 O 2.40-2.43
Cu1 0.5000 0.4232 0.4232  4 O 1.86-1.95
Cu2 0.5000 0.5748 0.5748  4 O 1.94-1.97
Cu3 0.5000 0.6999 0.6999  4 O 1.94-1.96
Cu4 0.5000 0.8475 0.8475  4 O 1.85-1.95
O1 0.0000 0.5850 0.5850  2 Cu 1.94
O2 0.0000 0.6907 0.6907  2 Cu 1.94
O3 0.5000 0.0848 0.0848  2 Cu 1.97
O4 0.5000 0.1915 0.1915  2 Cu 1.96
O5 0.5000 0.3531 0.3531  3 Cu 1.91-1.95
O6 0.5000 0.4913 0.4913  1 Cu 1.86
O7 0.5000 0.7797 0.7797  1 Cu 1.85
O8 0.5000 0.9170 0.9170  3 Cu 1.89-1.95

Output
SG: Amm2, No. 38
Formation energy, eV per atom: -2.06
ρ, g/cm³: 5.7

---

Size of the total moment for the records above, in order: 0.00, 0.00, 2.01, 0.00 μB/cell